AlSb2Te2Cl4 | the Materials Project database | PBE | optimized geometry; MP2020-corrected energy = -287.29 eV per cell; total DFT energy (no corrections) = -3.717 eV per atom; space-group type = P-1 (2)
1.0
9.855 0.000 0.000
0.488 13.714 0.000
0.617 3.959 18.128
Al Sb Te Cl
8 16 16 32
Direct
0.007 0.252 0.185
0.529 0.517 0.331
0.524 0.996 0.338
0.471 0.483 0.669
0.993 0.748 0.815
0.476 0.004 0.662
0.021 0.758 0.140
0.979 0.242 0.860
0.881 0.264 0.417
0.684 0.243 0.052
0.316 0.757 0.948
0.663 0.983 0.937
0.119 0.736 0.583
0.814 0.047 0.465
0.705 0.764 0.996
0.295 0.236 0.004
0.808 0.514 0.532
0.566 0.507 0.896
0.186 0.953 0.535
0.192 0.486 0.468
0.337 0.017 0.063
0.038 0.223 0.616
0.962 0.777 0.384
0.434 0.493 0.104
0.624 0.018 0.084
0.305 0.515 0.964
0.376 0.982 0.916
0.056 0.468 0.610
0.943 0.015 0.606
0.944 0.532 0.390
0.057 0.985 0.394
0.848 0.752 0.530
0.152 0.248 0.470
0.695 0.485 0.036
0.435 0.259 0.134
0.775 0.286 0.559
0.565 0.741 0.866
0.458 0.732 0.083
0.225 0.714 0.441
0.542 0.268 0.917
0.793 0.251 0.216
0.732 0.970 0.303
0.513 0.104 0.556
0.317 0.539 0.302
0.207 0.749 0.784
0.122 0.283 0.274
0.386 0.966 0.258
0.546 0.386 0.419
0.066 0.109 0.162
0.599 0.643 0.370
0.502 0.148 0.350
0.354 0.503 0.765
0.401 0.357 0.630
0.454 0.614 0.581
0.907 0.384 0.880
0.053 0.869 0.039
0.093 0.616 0.120
0.193 0.243 0.832
0.042 0.365 0.087
0.958 0.635 0.913
0.268 0.030 0.697
0.866 0.204 0.772
0.683 0.461 0.698
0.614 0.034 0.742
0.646 0.497 0.235
0.934 0.891 0.838
0.947 0.131 0.961
0.878 0.717 0.726
0.498 0.852 0.650
0.134 0.796 0.228
0.807 0.757 0.168
0.487 0.896 0.444